[1]
The following is a PBE with a Hubbard U calculation of an optimized crystal structure of Li2Cr2Si2O7, from the Materials Project database.

Cell lengths 5.629, 13.645, 9.809 Å; angles 90.00, 124.63, 90.00 degrees
Positions (direct):
Li: 0.023 0.249 0.318
Li: 0.023 0.251 0.818
Li: 0.267 0.152 0.616
Li: 0.267 0.348 0.116
Li: 0.733 0.652 0.884
Li: 0.733 0.848 0.384
Li: 0.977 0.749 0.182
Li: 0.977 0.751 0.682
Cr: 0.180 0.509 0.825
Cr: 0.180 0.991 0.325
Cr: 0.449 0.083 0.099
Cr: 0.449 0.417 0.599
Cr: 0.551 0.583 0.401
Cr: 0.551 0.917 0.901
Cr: 0.820 0.009 0.675
Cr: 0.820 0.491 0.175
Si: 0.215 0.615 0.544
Si: 0.215 0.885 0.044
Si: 0.363 0.678 0.053
Si: 0.363 0.822 0.553
Si: 0.637 0.178 0.447
Si: 0.637 0.322 0.947
Si: 0.785 0.115 0.956
Si: 0.785 0.385 0.456
O: 0.079 0.644 0.869
O: 0.079 0.856 0.369
O: 0.089 0.166 0.015
O: 0.089 0.334 0.515
O: 0.206 0.530 0.418
O: 0.206 0.970 0.918
O: 0.290 0.662 0.190
O: 0.290 0.838 0.690
O: 0.336 0.130 0.409
O: 0.336 0.370 0.909
O: 0.403 0.566 0.730
O: 0.403 0.934 0.230
O: 0.424 0.702 0.545
O: 0.424 0.798 0.045
O: 0.576 0.202 0.955
O: 0.576 0.298 0.455
O: 0.597 0.066 0.770
O: 0.597 0.434 0.270
O: 0.664 0.630 0.091
O: 0.664 0.870 0.591
O: 0.710 0.162 0.310
O: 0.710 0.338 0.810
O: 0.794 0.030 0.082
O: 0.794 0.470 0.582
O: 0.911 0.666 0.485
O: 0.911 0.834 0.985
O: 0.921 0.144 0.631
O: 0.921 0.356 0.131

- formation energy (eV/f.u.) = -33.703
- SG = No. 14
- magnetic moment (μB per cell) = 32.0



[2]
The following is a PBE with a Hubbard U calculation of an optimized crystal structure of LiCrSi3O8, from the Materials Project database.

Cell lengths 7.126, 7.142, 7.564 Å; angles 117.48, 105.51, 100.65 degrees
Positions (direct):
Li: 0.135 0.002 0.309
Li: 0.865 0.998 0.691
Cr: 0.450 0.078 0.712
Cr: 0.550 0.922 0.288
Si: 0.183 0.565 0.323
Si: 0.260 0.474 0.711
Si: 0.318 0.165 0.046
Si: 0.682 0.835 0.954
Si: 0.740 0.526 0.289
Si: 0.817 0.435 0.677
O: 0.059 0.458 0.773
O: 0.205 0.992 0.784
O: 0.206 0.352 0.130
O: 0.236 0.548 0.536
O: 0.301 0.242 0.617
O: 0.324 0.817 0.389
O: 0.352 0.059 0.194
O: 0.457 0.688 0.943
O: 0.543 0.312 0.057
O: 0.648 0.941 0.806
O: 0.676 0.183 0.611
O: 0.699 0.758 0.383
O: 0.764 0.452 0.464
O: 0.794 0.648 0.870
O: 0.795 0.008 0.216
O: 0.941 0.542 0.227

- formation energy (eV/f.u.) = -38.064
- SG = No. 2
- magnetic moment (μB per cell) = 6.0
- offset from the most stable computed form (meV/atom) = 0



[3]
The following is a PBE with a Hubbard U calculation of an optimized crystal structure of Li5Cr17Si2O32, from the Materials Project database.

Cell lengths 8.342, 8.342, 8.445 Å; angles 90.17, 90.17, 88.96 degrees
Positions (direct):
Li: 0.000 0.000 0.000
Li: 0.248 0.248 0.759
Li: 0.248 0.755 0.251
Li: 0.755 0.248 0.251
Li: 0.756 0.756 0.758
Cr: 0.004 0.498 0.503
Cr: 0.124 0.124 0.372
Cr: 0.125 0.880 0.629
Cr: 0.127 0.624 0.885
Cr: 0.375 0.883 0.884
Cr: 0.379 0.379 0.373
Cr: 0.379 0.625 0.626
Cr: 0.498 0.004 0.503
Cr: 0.503 0.503 0.006
Cr: 0.624 0.127 0.885
Cr: 0.624 0.624 0.382
Cr: 0.625 0.379 0.626
Cr: 0.625 0.885 0.128
Cr: 0.880 0.125 0.629
Cr: 0.880 0.880 0.380
Cr: 0.883 0.375 0.884
Cr: 0.885 0.625 0.128
Si: 0.125 0.372 0.120
Si: 0.372 0.125 0.120
O: 0.117 0.888 0.390
O: 0.119 0.119 0.610
O: 0.122 0.381 0.909
O: 0.126 0.591 0.122
O: 0.133 0.630 0.643
O: 0.135 0.372 0.340
O: 0.139 0.862 0.865
O: 0.153 0.153 0.131
O: 0.354 0.354 0.129
O: 0.372 0.135 0.340
O: 0.374 0.635 0.871
O: 0.374 0.870 0.643
O: 0.379 0.911 0.121
O: 0.381 0.122 0.909
O: 0.386 0.386 0.610
O: 0.387 0.616 0.389
O: 0.591 0.126 0.122
O: 0.613 0.893 0.896
O: 0.615 0.615 0.616
O: 0.616 0.387 0.389
O: 0.630 0.133 0.643
O: 0.631 0.870 0.371
O: 0.635 0.374 0.871
O: 0.638 0.638 0.135
O: 0.862 0.139 0.865
O: 0.863 0.863 0.144
O: 0.870 0.374 0.643
O: 0.870 0.631 0.371
O: 0.888 0.117 0.390
O: 0.889 0.889 0.616
O: 0.893 0.613 0.896
O: 0.911 0.379 0.121

- formation energy (eV/f.u.) = -134.721
- SG = No. 8
- magnetic moment (μB per cell) = 51.0



[4]
The following is a PBE with a Hubbard U calculation of an optimized crystal structure of Li2CrSi3O8, from the Materials Project database.

Cell lengths 6.640, 8.133, 7.011 Å; angles 90.00, 110.57, 90.00 degrees
Positions (direct):
Li: 0.107 0.000 0.071
Li: 0.304 0.521 0.741
Li: 0.696 0.021 0.259
Li: 0.893 0.500 0.929
Cr: 0.484 0.681 0.140
Cr: 0.516 0.181 0.860
Si: 0.094 0.226 0.441
Si: 0.271 0.862 0.456
Si: 0.307 0.343 0.158
Si: 0.693 0.843 0.842
Si: 0.729 0.362 0.544
Si: 0.906 0.726 0.559
O: 0.094 0.320 0.231
O: 0.123 0.029 0.403
O: 0.159 0.729 0.568
O: 0.257 0.497 0.000
O: 0.263 0.297 0.646
O: 0.276 0.804 0.240
O: 0.365 0.165 0.080
O: 0.498 0.910 0.634
O: 0.502 0.410 0.366
O: 0.635 0.665 0.920
O: 0.724 0.304 0.760
O: 0.737 0.797 0.354
O: 0.743 0.997 0.000
O: 0.841 0.229 0.432
O: 0.877 0.529 0.597
O: 0.906 0.820 0.769

- formation energy (eV/f.u.) = -40.115
- SG = No. 4
- magnetic moment (μB per cell) = 0.0



What are the E (MP2020) values for these records? In order: -0.2892 -0.2982 -0.3134 -0.2873 hartree per atom.
What are the energy values for these records? In order: -374.0 -196.0 -421.6 -203.9 eV per cell.